No. 1
A relaxed structure of Ca4Mg4P4O17F3. Source: the Materials Project database, functional PBE.

Unit cell a=7.932 b=7.932 c=6.601 alpha=94.51 beta=94.51 gamma=67.61
Atoms (fractional coordinates):
1 Ca 0.000 0.000 0.000
2 Ca 0.426 0.075 0.751
3 Ca 0.502 0.498 0.500
4 Ca 0.925 0.574 0.249
5 Mg 0.213 0.534 0.876
6 Mg 0.466 0.787 0.124
7 Mg 0.713 0.037 0.375
8 Mg 0.963 0.287 0.625
9 P 0.159 0.841 0.500
10 P 0.268 0.233 0.250
11 P 0.659 0.341 0.000
12 P 0.767 0.732 0.750
13 O 0.082 0.262 0.342
14 O 0.117 0.001 0.666
15 O 0.189 0.656 0.592
16 O 0.238 0.419 0.160
17 O 0.254 0.746 0.000
18 O 0.311 0.074 0.084
19 O 0.344 0.811 0.408
20 O 0.427 0.190 0.417
21 O 0.500 0.382 0.833
22 O 0.581 0.762 0.840
23 O 0.618 0.500 0.167
24 O 0.688 0.156 0.092
25 O 0.738 0.918 0.658
26 O 0.810 0.573 0.583
27 O 0.844 0.312 0.908
28 O 0.926 0.689 0.916
29 O 0.999 0.883 0.334
30 F 0.172 0.328 0.749
31 F 0.672 0.828 0.251
32 F 0.755 0.245 0.500

Calculated values
Space-group type: C2 (5)
Energy relative to the elements (eV per atom): -3.254

***

No. 2
A relaxed structure of Ca2NF. Source: the Materials Project database, functional PBE.

Unit cell a=6.257 b=6.257 c=6.257 alpha=133.71 beta=133.71 gamma=67.54
Atoms (fractional coordinates):
1 Ca 0.103 0.353 0.750
2 Ca 0.353 0.103 0.250
3 Ca 0.647 0.897 0.750
4 Ca 0.897 0.647 0.250
5 N 0.125 0.875 0.250
6 N 0.875 0.125 0.750
7 F 0.375 0.625 0.750
8 F 0.625 0.375 0.250

Calculated values
Space-group type: I4_1/amd (141)
Energy relative to the elements (eV per atom): -2.144

***

No. 3
A relaxed structure of Ca2NF. Source: the Materials Project database, functional PBE.

Unit cell a=7.132 b=7.132 c=34.848 alpha=90.26 beta=90.26 gamma=59.96
Atoms (fractional coordinates):
1 Ca 0.000 0.000 0.000
2 Ca 0.000 0.000 0.501
3 Ca 0.001 0.001 0.740
4 Ca 0.010 0.010 0.238
5 Ca 0.030 0.486 0.744
6 Ca 0.042 0.484 0.241
7 Ca 0.152 0.152 0.075
8 Ca 0.152 0.152 0.577
9 Ca 0.152 0.694 0.075
10 Ca 0.153 0.697 0.577
11 Ca 0.180 0.180 0.330
12 Ca 0.181 0.637 0.831
13 Ca 0.182 0.182 0.831
14 Ca 0.188 0.633 0.333
15 Ca 0.303 0.851 0.161
16 Ca 0.304 0.848 0.664
17 Ca 0.331 0.331 0.408
18 Ca 0.333 0.333 0.668
19 Ca 0.334 0.334 0.907
20 Ca 0.338 0.338 0.165
21 Ca 0.363 0.819 0.910
22 Ca 0.363 0.820 0.411
23 Ca 0.484 0.042 0.241
24 Ca 0.485 0.485 0.744
25 Ca 0.486 0.030 0.744
26 Ca 0.489 0.489 0.245
27 Ca 0.515 0.515 0.497
28 Ca 0.515 0.515 0.997
29 Ca 0.515 0.970 0.997
30 Ca 0.516 0.971 0.498
31 Ca 0.633 0.188 0.333
32 Ca 0.637 0.181 0.831
33 Ca 0.661 0.661 0.334
34 Ca 0.667 0.667 0.573
35 Ca 0.667 0.667 0.835
36 Ca 0.668 0.668 0.073
37 Ca 0.694 0.152 0.075
38 Ca 0.697 0.153 0.577
39 Ca 0.819 0.363 0.910
40 Ca 0.819 0.819 0.410
41 Ca 0.819 0.819 0.910
42 Ca 0.820 0.363 0.411
43 Ca 0.848 0.304 0.664
44 Ca 0.849 0.849 0.664
45 Ca 0.851 0.303 0.161
46 Ca 0.853 0.853 0.162
47 Ca 0.970 0.515 0.997
48 Ca 0.971 0.516 0.498
49 N 0.000 0.000 0.118
50 N 0.000 0.000 0.620
51 N 0.001 0.500 0.870
52 N 0.167 0.167 0.704
53 N 0.167 0.667 0.704
54 N 0.171 0.171 0.202
55 N 0.172 0.670 0.204
56 N 0.333 0.834 0.537
57 N 0.334 0.334 0.787
58 N 0.335 0.335 0.287
59 N 0.335 0.833 0.036
60 N 0.498 0.498 0.372
61 N 0.500 0.001 0.870
62 N 0.500 0.500 0.870
63 N 0.501 0.996 0.370
64 N 0.667 0.167 0.704
65 N 0.667 0.667 0.953
66 N 0.668 0.668 0.454
67 N 0.670 0.172 0.204
68 N 0.833 0.335 0.036
69 N 0.833 0.833 0.036
70 N 0.834 0.333 0.537
71 N 0.834 0.834 0.537
72 N 0.996 0.501 0.370
73 F 0.000 0.000 0.869
74 F 0.001 0.500 0.619
75 F 0.034 0.483 0.116
76 F 0.164 0.164 0.953
77 F 0.164 0.672 0.953
78 F 0.168 0.168 0.452
79 F 0.170 0.662 0.453
80 F 0.261 0.853 0.293
81 F 0.334 0.334 0.030
82 F 0.334 0.334 0.536
83 F 0.335 0.833 0.786
84 F 0.483 0.034 0.116
85 F 0.486 0.486 0.116
86 F 0.499 0.499 0.619
87 F 0.500 0.001 0.619
88 F 0.662 0.170 0.453
89 F 0.667 0.667 0.702
90 F 0.669 0.669 0.171
91 F 0.672 0.164 0.953
92 F 0.688 0.688 0.264
93 F 0.833 0.335 0.786
94 F 0.833 0.833 0.786
95 F 0.853 0.261 0.293
96 F 0.997 0.997 0.376

Calculated values
Space-group type: Cm (8)
Energy relative to the elements (eV per atom): -2.174